No. 1
This record from the Materials Project database describes a geometry-optimized Gd2C structure. The functional is PBE-GGA.

Properties
V = 70.62 Å³ per cell
calculated formation energy = -0.256 eV/atom

Lattice parameters (Å, degrees): 6.4849 6.4849 6.4849 32.66 32.66 32.66
With the nearest neighbours (Å) after each atom.
Positions (direct):
Gd1 0.7599 0.7599 0.7599  3 C 2.50
Gd2 0.2401 0.2401 0.2401  3 C 2.50
C1 0.5000 0.5000 0.5000  6 Gd 2.50



No. 2
This record from the Materials Project database describes a geometry-optimized Na2CaGaPS2O12 structure. The functional is PBE-GGA.

Properties
total magnetic moment = 0.00 μB/f.u.
V = 1598.57 Å³ per cell
calculated formation energy = -2.361 eV/atom

Lattice parameters (Å, degrees): 9.0456 9.0237 22.6375 91.03 90.00 120.08
With the nearest neighbours (Å) after each atom.
Positions (direct):
Ga1 0.3538 0.6950 0.3175  3 O 1.93-2.08
Ga2 0.9857 0.9811 0.6529  5 O 1.96-2.20
Ga3 0.6690 0.3477 0.9842  4 O 1.92-2.10
Ga4 0.3413 0.6950 0.8175  3 O 1.93-2.08
Ga5 0.9954 0.9811 0.1529  5 O 1.96-2.20
Ga6 0.6788 0.3477 0.4842  4 O 1.92-2.10
P1 0.9524 0.6366 0.0866  4 O 1.52-1.59
P2 0.6267 0.9823 0.4229  4 O 1.51-1.60
P3 0.6931 0.9844 0.7534  4 O 1.51-1.60
P4 0.2913 0.9844 0.2534  4 O 1.51-1.60
P5 0.3556 0.9823 0.9229  4 O 1.51-1.60
P6 0.6841 0.6366 0.5866  4 O 1.52-1.59
O1 0.4664 0.1233 0.6321  1 S 1.46
O2 0.6385 0.4952 0.9197  1 S 1.50
O3 0.5216 0.6291 0.8588  1 S 1.51
O4 0.7946 0.8073 0.9118  1 S 1.49
O5 0.1352 0.6689 0.0799  1 P 1.54
O6 0.8351 0.5378 0.0314  1 P 1.58
O7 0.3643 0.4843 0.3610  1 S 1.50
O8 0.8804 0.5465 0.1443  1 P 1.52
O9 0.9943 0.2083 0.3016  1 S 1.45
O10 0.3381 0.4660 0.0777  1 S 1.46
O11 0.5011 0.8888 0.3677  1 P 1.60
O12 0.8042 0.0080 0.4152  1 P 1.51
O13 0.1721 0.9530 0.1971  1 P 1.60
O14 0.8508 0.8202 0.5887  1 P 1.59
O15 0.6569 0.1233 0.1321  1 S 1.46
O16 0.0301 0.2085 0.1940  1 S 1.51
O17 0.5353 0.8665 0.0771  1 S 1.49
O18 0.8795 0.3402 0.6370  1 S 1.46
O19 0.9944 0.7904 0.8028  1 S 1.45
O20 0.0128 0.8073 0.4118  1 S 1.49
O21 0.5150 0.3711 0.4170  1 S 1.52
O22 0.2038 0.0080 0.9152  1 P 1.51
O23 0.9929 0.2023 0.9094  1 S 1.48
O24 0.7053 0.1394 0.0259  1 S 1.50
O25 0.5487 0.8849 0.4788  1 P 1.51
O26 0.4342 0.1394 0.5259  1 S 1.50
O27 0.1784 0.2085 0.6940  1 S 1.51
O28 0.7027 0.5378 0.5314  1 P 1.58
O29 0.2140 0.2083 0.8016  1 S 1.45
O30 0.4608 0.3402 0.1370  1 S 1.46
O31 0.4495 0.2927 0.0297  1 S 1.52
O32 0.4704 0.1351 0.2479  1 P 1.51
O33 0.5337 0.6689 0.5799  1 P 1.54
O34 0.1075 0.6291 0.3588  1 S 1.51
O35 0.6647 0.1351 0.7479  1 P 1.51
O36 0.8741 0.3368 0.2432  1 S 1.48
O37 0.2093 0.2023 0.4094  1 S 1.48
O38 0.7960 0.7904 0.3028  1 S 1.45
O39 0.5390 0.6755 0.9662  1 S 1.46
O40 0.8645 0.5406 0.7439  1 S 1.48
O41 0.7809 0.9530 0.6971  1 P 1.60
O42 0.1857 0.0318 0.5880  1 S 1.49
O43 0.7750 0.8169 0.1964  1 S 1.49
O44 0.1750 0.6964 0.7545  1 S 1.50
O45 0.9694 0.8202 0.0887  1 P 1.59
O46 0.6761 0.5406 0.2439  1 S 1.48
O47 0.3877 0.8888 0.8677  1 P 1.60
O48 0.5134 0.8099 0.7552  1 P 1.60
O49 0.1806 0.4763 0.2510  1 S 1.52
O50 0.3312 0.8665 0.5771  1 S 1.49
O51 0.8566 0.4952 0.4197  1 S 1.50
O52 0.8462 0.0318 0.0880  1 S 1.49
O53 0.3362 0.8849 0.9788  1 P 1.51
O54 0.5214 0.6964 0.2545  1 S 1.50
O55 0.8432 0.2927 0.5297  1 S 1.52
O56 0.4627 0.3368 0.7432  1 S 1.48
O57 0.1200 0.4843 0.8610  1 S 1.50
O58 0.9605 0.1541 0.5858  1 S 1.51
O59 0.2957 0.4763 0.7510  1 S 1.52
O60 0.8561 0.3711 0.9170  1 S 1.52
O61 0.1279 0.4660 0.5777  1 S 1.46
O62 0.5289 0.1590 0.9258  1 P 1.58
O63 0.6301 0.1590 0.4258  1 P 1.58
O64 0.6661 0.5465 0.6443  1 P 1.52
O65 0.1240 0.4540 0.9687  1 S 1.45
O66 0.7901 0.9987 0.8093  1 P 1.51
O67 0.1936 0.1541 0.0858  1 S 1.51
O68 0.0419 0.8169 0.6964  1 S 1.49
O69 0.3299 0.4540 0.4687  1 S 1.45
O70 0.2965 0.8099 0.2552  1 P 1.60
O71 0.2086 0.9987 0.3093  1 P 1.51
O72 0.1364 0.6755 0.4662  1 S 1.46
Ca1 0.3338 0.6596 0.5190  6 O 2.15-2.27
Ca2 0.6614 0.3256 0.1859  6 O 2.16-2.28
Ca3 0.0148 0.0073 0.8535  6 O 2.17-2.33
Ca4 0.6642 0.3256 0.6859  6 O 2.16-2.28
Ca5 0.3258 0.6596 0.0190  6 O 2.15-2.27
Ca6 0.9926 0.0073 0.3535  6 O 2.17-2.33
Na1 0.6549 0.3146 0.3345  4 O 2.44-2.57
Na2 0.3352 0.6536 0.1672  5 O 2.45-2.73
Na3 0.3184 0.6536 0.6672  5 O 2.45-2.73
Na4 0.0074 0.9924 0.0014  5 O 2.45-2.70
Na5 0.6386 0.6376 0.7443  4 O 2.35-2.59
Na6 0.3307 0.0256 0.4122  5 O 2.35-2.60
Na7 0.9850 0.9924 0.5014  5 O 2.45-2.70
Na8 0.3058 0.9647 0.0796  3 O 2.32-2.44
Na9 0.9990 0.6376 0.2443  4 O 2.35-2.59
Na10 0.6596 0.3146 0.8345  4 O 2.44-2.57
Na11 0.6590 0.9647 0.5796  3 O 2.32-2.44
Na12 0.6950 0.0256 0.9122  5 O 2.35-2.60
S1 0.6940 0.7120 0.2496  4 O 1.45-1.50
S2 0.0181 0.7120 0.7496  4 O 1.45-1.50
S3 0.3540 0.0416 0.5811  4 O 1.46-1.50
S4 0.3628 0.3187 0.0831  4 O 1.46-1.52
S5 0.0178 0.3030 0.2479  4 O 1.45-1.52
S6 0.0285 0.3815 0.9140  4 O 1.45-1.52
S7 0.6225 0.6518 0.9147  4 O 1.46-1.51
S8 0.3531 0.3815 0.4140  4 O 1.45-1.52
S9 0.6876 0.0416 0.0811  4 O 1.46-1.50
S10 0.9559 0.3187 0.5831  4 O 1.46-1.52
S11 0.2852 0.3030 0.7479  4 O 1.45-1.52
S12 0.0293 0.6518 0.4147  4 O 1.46-1.51



No. 3
This record from the Materials Project database describes a geometry-optimized TiCo2Si structure. The functional is PBE-GGA.

Properties
total magnetic moment = 0.97 μB/f.u.
V = 104.48 Å³ per cell
calculated formation energy = -0.276 eV/atom

Lattice parameters (Å, degrees): 4.8517 4.8528 5.5385 78.41 78.43 55.35
With the nearest neighbours (Å) after each atom.
Positions (direct):
Co1 0.6746 0.1867 0.1791  3 Co 2.20-2.37, 2 Si 2.29-2.34
Co2 0.7063 0.7064 0.8898  3 Si 2.49-2.52, 3 Ti 2.75-2.77, 4 Co 2.77
Co3 0.1851 0.1852 0.1866  2 Si 2.27-2.49, 4 Co 2.37-2.48, 3 Ti 2.49-2.54
Co4 0.1865 0.6746 0.1793  3 Co 2.20-2.37, 2 Si 2.29-2.34
Si1 0.0856 0.0857 0.8412  5 Co 2.27-2.52, 1 Si 2.33
Si2 0.9418 0.9416 0.5314  4 Co 2.29-2.49, 1 Si 2.33
Ti1 0.3923 0.3923 0.7908  5 Co 2.49-2.75, 3 Si 2.59-2.66, 1 Ti 2.78
Ti2 0.6608 0.6605 0.4019  8 Co 2.54-2.82, 1 Si 2.67, 1 Ti 2.78



No. 4
This record from the Materials Project database describes a geometry-optimized RbGeI3 structure. The functional is PBE-GGA.

Properties
V = 823.34 Å³ per cell
calculated formation energy = -1.030 eV/atom

Lattice parameters (Å, degrees): 4.5991 10.4136 17.1910 90.00 90.00 90.00
With the nearest neighbours (Å) after each atom.
Positions (direct):
I1 0.0080 0.5402 0.7915  1 Ge 2.86
I2 0.4920 0.4598 0.2915  1 Ge 2.86
I3 0.0118 0.7717 0.3892  2 Ge 2.93-3.24
I4 0.4882 0.2283 0.8892  2 Ge 2.93-3.24
I5 0.0171 0.4201 0.4999  2 Ge 2.93-3.28
I6 0.9920 0.0402 0.7085  1 Ge 2.86
I7 0.4829 0.5799 0.9999  2 Ge 2.93-3.28
I8 0.5080 0.9598 0.2085  1 Ge 2.86
I9 0.9829 0.9201 0.0001  2 Ge 2.93-3.28
I10 0.9882 0.2717 0.1108  2 Ge 2.93-3.24
I11 0.5171 0.0799 0.5001  2 Ge 2.93-3.28
I12 0.5118 0.7283 0.6108  2 Ge 2.93-3.24
Rb1 0.5053 0.3299 0.6700  8 I 3.79-3.91
Rb2 0.9947 0.6701 0.1700  8 I 3.79-3.91
Rb3 0.4947 0.8299 0.8300  8 I 3.79-3.91
Rb4 0.0053 0.1701 0.3300  8 I 3.79-3.91
Ge1 0.0340 0.4088 0.9373  3 I 2.86-2.93
Ge2 0.5340 0.0912 0.0627  3 I 2.86-2.93
Ge3 0.9660 0.9088 0.5627  3 I 2.86-2.93
Ge4 0.4660 0.5912 0.4373  3 I 2.86-2.93



No. 5
This record from the Materials Project database describes a geometry-optimized Ga2Sn3N4 structure. The functional is PBE-GGA.

Properties
total magnetic moment = 0.00 μB/f.u.
V = 322.23 Å³ per cell
calculated formation energy = -0.143 eV/atom

Lattice parameters (Å, degrees): 8.0125 8.9055 5.6226 90.00 77.60 123.76
With the nearest neighbours (Å) after each atom.
Positions (direct):
N1 0.7180 0.5985 0.9925  2 Ga 1.97-2.07, 1 Sn 2.18
N2 0.7180 0.1195 0.4925  2 Ga 1.97-2.07, 1 Sn 2.18
N3 0.5373 0.6771 0.5672  2 Ga 1.91-1.97
N4 0.2820 0.4015 0.0075  2 Ga 1.97-2.07, 1 Sn 2.18
N5 0.4627 0.1398 0.9328  2 Ga 1.91-1.97
N6 0.2820 0.8805 0.5075  2 Ga 1.97-2.07, 1 Sn 2.18
N7 0.5373 0.8602 0.0672  2 Ga 1.91-1.97
N8 0.4627 0.3229 0.4328  2 Ga 1.91-1.97
Sn1 0.0000 0.6268 0.7500  2 N 2.25
Sn2 0.7496 0.6073 0.3692  3 N 2.18-2.24
Sn3 0.2504 0.3927 0.6308  3 N 2.18-2.24
Sn4 0.0000 0.3732 0.2500  2 N 2.25
Sn5 0.7496 0.1423 0.8692  3 N 2.18-2.24
Sn6 0.2504 0.8577 0.1308  3 N 2.18-2.24
Ga1 0.5399 0.6691 0.9168  4 N 1.91-2.07
Ga2 0.4601 0.3309 0.0832  4 N 1.91-2.07
Ga3 0.4601 0.1292 0.5832  4 N 1.91-2.07
Ga4 0.5399 0.8708 0.4168  4 N 1.91-2.07



No. 6
This record from the Materials Project database describes a geometry-optimized Nd2Fe17H3 structure. The functional is PBE-GGA.

Properties
total magnetic moment = 37.68 μB/f.u.
V = 266.43 Å³ per cell
calculated formation energy = -0.049 eV/atom

Lattice parameters (Å, degrees): 6.4634 6.4634 6.4634 84.44 84.44 84.44
With the nearest neighbours (Å) after each atom.
Positions (direct):
Fe1 0.7172 0.0000 0.2828  1 H 1.89
Fe2 0.0000 0.0000 0.5000  10 Fe 2.41-2.65
Fe3 0.2828 0.0000 0.7172  1 H 1.89
Fe4 0.7172 0.2828 0.0000  1 H 1.89
Fe5 0.5000 0.0000 0.0000  10 Fe 2.41-2.65
Fe6 0.2828 0.7172 0.0000  1 H 1.89
Fe7 0.0975 0.0975 0.0975  7 Fe 2.38-2.65
Fe8 0.3412 0.8502 0.3412  1 H 1.91
Fe9 0.1498 0.6588 0.6588  1 H 1.91
Fe10 0.3412 0.3412 0.8502  1 H 1.91
Fe11 0.6588 0.1498 0.6588  1 H 1.91
Fe12 0.0000 0.7172 0.2828  1 H 1.89
Fe13 0.0000 0.5000 0.0000  10 Fe 2.41-2.65
Fe14 0.0000 0.2828 0.7172  1 H 1.89
Fe15 0.6588 0.6588 0.1498  1 H 1.91
Fe16 0.8502 0.3412 0.3412  1 H 1.91
Fe17 0.9025 0.9025 0.9025  7 Fe 2.38-2.65
H1 0.0000 0.5000 0.5000  4 Fe 1.89-1.91
H2 0.5000 0.0000 0.5000  4 Fe 1.89-1.91
H3 0.5000 0.5000 0.0000  4 Fe 1.89-1.91
Nd1 0.3448 0.3448 0.3448  3 H 2.51
Nd2 0.6552 0.6552 0.6552  3 H 2.51



No. 7
This record from the Materials Project database describes a geometry-optimized TiCr2P3 structure. The functional is PBE-GGA.

Properties
total magnetic moment = 0.07 μB/f.u.
V = 316.62 Å³ per cell
calculated formation energy = -0.685 eV/atom

Lattice parameters (Å, degrees): 3.1228 5.5228 18.3584 89.78 90.00 90.00
With the nearest neighbours (Å) after each atom.
Positions (direct):
Cr1 0.2500 0.5074 0.7696  6 P 2.35-2.51
Cr2 0.2500 0.5055 0.4411  6 P 2.33-2.42
Cr3 0.2500 0.0072 0.4003  6 P 2.30-2.38
Cr4 0.2500 0.0090 0.0615  6 P 2.26-2.40
Cr5 0.2500 0.5109 0.0970  6 P 2.32-2.46
Cr6 0.7500 0.0017 0.6039  6 P 2.33-2.54
Cr7 0.7500 0.0025 0.9337  6 P 2.32-2.54
Cr8 0.2500 0.0092 0.7309  6 P 2.26-2.37
P1 0.7500 0.8106 0.8080  5 Cr 2.37-2.54, 1 Ti 2.40
P2 0.2500 0.7102 0.6472  4 Cr 2.26-2.51, 2 Ti 2.47
P3 0.7500 0.2984 0.6939  5 Cr 2.33-2.39, 1 Ti 2.57
P4 0.7500 0.2948 0.0244  5 Cr 2.32-2.38, 1 Ti 2.57
P5 0.2500 0.1750 0.8500  4 Cr 2.35-2.39, 2 Ti 2.50
P6 0.2500 0.7126 0.9771  4 Cr 2.26-2.46, 2 Ti 2.47
P7 0.2500 0.1915 0.1796  2 Cr 2.32-2.40, 4 Ti 2.48-2.52
P8 0.7500 0.3070 0.3627  4 Cr 2.38-2.39, 2 Ti 2.43-2.64
P9 0.2500 0.6863 0.3209  2 Cr 2.30-2.42, 4 Ti 2.49-2.52
P10 0.2500 0.1720 0.5194  4 Cr 2.33-2.39, 2 Ti 2.51
P11 0.7500 0.8139 0.4777  5 Cr 2.36-2.54, 1 Ti 2.41, 2 P 2.64
P12 0.7500 0.8017 0.1373  4 Cr 2.36-2.38, 1 Ti 2.40
Ti1 0.7500 0.4910 0.8974  6 P 2.40-2.57
Ti2 0.7500 0.4951 0.2303  6 P 2.40-2.64
Ti3 0.7500 0.4914 0.5665  6 P 2.41-2.57
Ti4 0.7500 0.9952 0.2696  6 P 2.43-2.66



Which value of V does entry 6 give? 266.43 Å³ per cell